Entry 1:
# LaCrWO6

Crystalline LaCrWO6 at its relaxed geometry (PBE+U, Materials Project).

Geometry as POSCAR:
```
LaCrWO6
1.0
0.499 -5.472 -0.273
-0.581 -3.033 4.570
-8.815 2.052 -3.000
O Cr W La
12 2 2 2
Cartesian
-5.181 -4.822 -0.298
-2.900 -3.257 -0.674
-7.716 -1.929 -2.353
-3.848 -1.735 1.569
-1.315 -4.629 3.623
-7.849 -1.012 0.248
-1.078 -5.487 0.996
-6.023 -3.241 1.917
-1.222 -2.796 1.605
-7.798 -3.688 -0.206
-3.348 -0.460 -0.855
-5.668 -6.021 2.255
-6.719 -4.870 0.986
-2.272 -1.644 0.337
-0.085 -4.295 2.164
-4.449 0.985 -1.484
-1.218 -7.209 3.443
-5.584 -1.930 -0.205
```

Properties
**Total energy after the MP2020 corrections**: -9.08 eV/atom
**E_form**: -2.72 eV/atom
**Total DFT energy (no corrections)**: -7.9076 eV/atom

Entry 2:
# Li2TiCo3O8

Crystalline Li2TiCo3O8 at its relaxed geometry (PBE+U, Materials Project).

Geometry as POSCAR:
```
Li2TiCo3O8
1.0
2.880 1.663 4.665
-2.880 1.663 4.665
0.000 -3.325 4.665
Li Ti Co O
2 1 3 8
Cartesian
0.000 0.000 1.726
0.000 0.000 12.270
0.000 0.000 6.998
-1.440 -0.831 4.665
-1.440 0.831 9.331
0.000 1.663 4.665
0.000 -1.510 5.732
-1.308 0.755 5.732
0.000 0.000 3.691
-1.308 -0.755 8.264
1.308 0.755 5.732
0.000 0.000 10.305
1.308 -0.755 8.264
0.000 1.510 8.264
```

Properties
**Total energy after the MP2020 corrections**: -7.17 eV/atom
**Offset from the most stable computed form**: 0.6 meV per atom
**E_form**: -1.98 eV/atom
**Space-group type**: R-3m (166)
**Total DFT energy (no corrections)**: -6.4228 eV/atom

What is the formula in the first record?
LaCrWO6

total DFT energy (no corrections) of number 1 (LaCrWO6)?
-7.9076 eV/atom

The lowest total DFT energy (no corrections) belongs to which entry?
LaCrWO6